DFT (PBE) results for a relaxed ZnP2H14C2N6O6 crystal.

Unit cell a=10.500 b=9.299 c=9.714 alpha=67.01 beta=54.61 gamma=58.39
Positions (direct):
Zn 0.000 0.000 0.000
Zn 0.250 0.250 0.250
P 0.031 0.127 0.632
P 0.040 0.618 0.123
P 0.127 0.031 0.210
P 0.618 0.040 0.219
H 0.017 0.728 0.819
H 0.025 0.819 0.619
H 0.030 0.451 0.922
H 0.043 0.674 0.464
H 0.048 0.333 0.801
H 0.054 0.462 0.536
H 0.169 0.975 0.561
H 0.302 0.714 0.788
H 0.328 0.653 0.220
H 0.333 0.048 0.817
H 0.431 0.786 0.576
H 0.431 0.814 0.233
H 0.433 0.449 0.917
H 0.449 0.433 0.202
H 0.451 0.030 0.597
H 0.462 0.054 0.948
H 0.631 0.713 0.225
H 0.653 0.328 0.799
H 0.674 0.043 0.819
H 0.689 0.956 0.081
H 0.713 0.631 0.431
H 0.714 0.302 0.196
H 0.728 0.017 0.436
H 0.786 0.431 0.207
H 0.814 0.431 0.522
H 0.819 0.025 0.537
H 0.956 0.689 0.275
H 0.975 0.169 0.294
C 0.036 0.576 0.694
C 0.556 0.557 0.214
C 0.557 0.556 0.674
C 0.576 0.036 0.693
N 0.023 0.719 0.714
N 0.042 0.570 0.555
N 0.043 0.441 0.813
N 0.418 0.695 0.680
N 0.437 0.547 0.207
N 0.441 0.043 0.703
N 0.536 0.706 0.227
N 0.547 0.437 0.809
N 0.570 0.042 0.832
N 0.695 0.418 0.208
N 0.706 0.536 0.531
N 0.719 0.023 0.544
O 0.048 0.138 0.776
O 0.066 0.276 0.488
O 0.080 0.762 0.974
O 0.119 0.866 0.325
O 0.138 0.048 0.038
O 0.212 0.474 0.112
O 0.276 0.066 0.170
O 0.474 0.212 0.202
O 0.560 0.925 0.384
O 0.762 0.080 0.184
O 0.866 0.119 0.690
O 0.925 0.560 0.131

Computed properties:
E_form: -89.98 kJ per mole of atoms
SG: Fdd2 (43)
calculated density: 1.76 g/cm3
E_tot: -0.4328 Ry/atom